Entry 1:
This record from the Materials Project describes a relaxed Pm crystal. The functional is meta-GGA r2SCAN.

Cell and atoms, written as POSCAR:
```
Pm
1.0
0.310 2.824 -2.369
-1.476 -3.201 -1.121
-8.584 0.849 2.778
Pm
3
direct
0.000 0.000 0.000
0.778 0.222 0.333
0.222 0.778 0.667
```

Properties
- Formation energy: 0.01 eV/atom
- E above lowest polymorph: 0.8 kJ/mol of formula units
- Symmetry: R-3m (166)
- V: 34.780 Å³ per atom
- Total moment: 0.000 μB/atom



Entry 2:
This record from the Materials Project describes a relaxed Pm3Pr crystal. The functional is meta-GGA r2SCAN.

Cell and atoms, written as POSCAR:
```
Pm3Pr
1.0
-2.603 2.603 5.174
2.603 -2.603 5.174
2.603 2.603 -5.174
Pm Pr
3 1
direct
0.750 0.250 0.500
0.250 0.750 0.500
0.500 0.500 0.000
0.000 0.000 0.000
```

Properties
- Formation energy: 0.02 eV/atom
- E above lowest polymorph: 0.0 kJ/mol of formula units
- Symmetry: I4/mmm (139)
- V: 35.070 Å³ per atom
- Total moment: 0.000 μB/atom



Entry 3:
This record from the Materials Project describes a relaxed PmPr3 crystal. The functional is meta-GGA r2SCAN.

Cell and atoms, written as POSCAR:
```
PmPr3
1.0
-2.627 2.627 5.222
2.627 -2.627 5.222
2.627 2.627 -5.222
Pm Pr
1 3
direct
0.000 0.000 0.000
0.750 0.250 0.500
0.250 0.750 0.500
0.500 0.500 0.000
```

Properties
- Formation energy: 0.03 eV/atom
- Symmetry: I4/mmm (139)
- V: 36.029 Å³ per atom
- Total moment: 0.000 μB/atom



Entry 4:
This record from the Materials Project describes a relaxed Pm3Pr crystal. The functional is meta-GGA r2SCAN.

Cell and atoms, written as POSCAR:
```
Pm3Pr
1.0
3.143 2.160 -6.448
-5.448 -5.142 -0.026
-4.007 4.248 -0.530
Pm Pr
6 2
direct
0.167 0.333 0.250
0.667 0.833 0.250
0.167 0.833 0.250
0.833 0.667 0.750
0.333 0.167 0.750
0.833 0.167 0.750
0.333 0.667 0.750
0.667 0.333 0.250
```

Properties
- Formation energy: 0.03 eV/atom
- E above lowest polymorph: 2.2 kJ/mol of formula units
- Symmetry: P6_3/mmc (194)
- V: 35.623 Å³ per atom
- Total moment: 0.000 μB/atom



Entry 5:
This record from the Materials Project describes a relaxed PmPrTl2 crystal. The functional is meta-GGA r2SCAN.

Cell and atoms, written as POSCAR:
```
PmPrTl2
1.0
2.731 -1.062 4.661
1.684 4.144 3.209
-2.420 0.871 4.867
Pm Pr Tl
1 1 2
direct
0.000 0.000 0.000
0.500 0.500 0.500
0.750 0.750 0.750
0.250 0.250 0.250
```

Properties
- Formation energy: -0.50 eV/atom
- Symmetry: Fm-3m (225)
- V: 29.491 Å³ per atom
- Total moment: 0.000 μB/atom



Entry 6:
This record from the Materials Project describes a relaxed Pm2PtRh crystal. The functional is meta-GGA r2SCAN.

Cell and atoms, written as POSCAR:
```
Pm2PtRh
1.0
0.000 3.534 3.534
3.534 0.000 3.534
3.534 3.534 0.000
Pm Pt Rh
2 1 1
direct
0.000 0.000 0.000
0.500 0.500 0.500
0.250 0.250 0.250
0.750 0.750 0.750
```

Properties
- Formation energy: -0.97 eV/atom
- Symmetry: Fm-3m (225)
- V: 22.063 Å³ per atom
- Total moment: 0.000 μB/atom



Entry 7:
This record from the Materials Project describes a relaxed Pm2SiPt crystal. The functional is meta-GGA r2SCAN.

Cell and atoms, written as POSCAR:
```
Pm2SiPt
1.0
0.000 3.607 3.607
3.607 0.000 3.607
3.607 3.607 0.000
Pm Si Pt
2 1 1
direct
0.250 0.250 0.250
0.750 0.750 0.750
0.000 0.000 0.000
0.500 0.500 0.500
```

Properties
- Formation energy: -0.83 eV/atom
- Symmetry: Fm-3m (225)
- V: 23.473 Å³ per atom
- Total moment: 0.000 μB/atom



Entry 8:
This record from the Materials Project describes a relaxed PmSnPt2 crystal. The functional is meta-GGA r2SCAN.

Cell and atoms, written as POSCAR:
```
PmSnPt2
1.0
-0.495 -1.490 4.611
-4.108 0.950 2.439
-3.086 -3.612 1.074
Pm Sn Pt
1 1 2
direct
0.500 0.500 0.500
0.000 0.000 0.000
0.250 0.250 0.250
0.750 0.750 0.750
```

Properties
- Formation energy: -0.87 eV/atom
- Symmetry: Fm-3m (225)
- V: 20.427 Å³ per atom
- Total moment: 0.000 μB/atom